AgHgSBr | PBE | optimized geometry

Cell lengths 9.9631, 4.6775, 9.8047 Å; angles 90.00, 90.00, 90.00 degrees
Last column: nearest neighbours and their distance in Å.
Space group Pmma (No. 51)
Unique sites:
Ag: 0.0848 0.0000 0.2093  2 S 2.55, 1 Br 2.73
Hg: 0.0000 0.5000 0.5000  2 S 2.41
Hg: 0.2500 0.5000 0.7707  2 S 2.42
S: 0.0083 0.5000 0.7457  2 Hg 2.41-2.42, 2 Ag 2.55
Br: 0.2500 0.0000 0.4648  2 Ag 3.00
Br: 0.2500 0.0000 0.9876  2 Ag 2.73

Total magnetization ... 0.000 μB per atom
ρ ... 6.1 Mg/m³
ΔH_f (0 K) ... -0.549 eV per atom